# 1
Density functional theory data (PBE with a Hubbard U) for a relaxed structure of Li2Fe2Si4O11.

a b c (Å): 7.047 7.581 8.794
angles (deg): 99.97 101.13 104.42
Atoms (fractional coordinates):
O  0.818  0.193  0.594
O  0.024  0.051  0.291
O  0.711  0.154  0.183
O  0.384  0.042  0.275
O  0.321  0.189  0.565
O  0.616  0.958  0.725
O  0.976  0.736  0.931
O  0.816  0.626  0.154
O  0.601  0.740  0.938
O  0.024  0.264  0.069
O  0.939  0.586  0.625
O  0.679  0.811  0.435
O  0.061  0.414  0.375
O  0.399  0.260  0.062
O  0.976  0.949  0.709
O  0.182  0.807  0.406
O  0.323  0.593  0.155
O  0.584  0.410  0.371
O  0.677  0.407  0.845
O  0.289  0.846  0.817
O  0.416  0.590  0.629
O  0.184  0.374  0.846
Si  0.959  0.226  0.234
Si  0.239  0.387  0.034
Si  0.041  0.774  0.766
Si  0.761  0.613  0.966
Si  0.478  0.776  0.773
Si  0.232  0.026  0.402
Si  0.522  0.224  0.227
Si  0.768  0.974  0.598
Li  0.140  0.750  0.152
Li  0.611  0.788  0.197
Li  0.860  0.250  0.848
Li  0.389  0.212  0.803
Fe  0.372  0.618  0.398
Fe  0.628  0.382  0.602
Fe  0.883  0.623  0.388
Fe  0.117  0.377  0.612

- ΔE to the lowest computed polymorph (eV per atom) = 0.0000
- energy relative to the elements (meV per atom) = -2781
- total energy after the MP2020 corrections (eV/atom) = -7.88
- magnetization (μB/cell) = 16.001
- uncorrected energy (eV per atom) = -7.245


# 2
Density functional theory data (PBE with a Hubbard U) for a relaxed structure of Li2FeSiO4.

a b c (Å): 5.343 10.408 6.320
angles (deg): 90.00 90.00 78.16
Atoms (fractional coordinates):
O  0.227  0.449  0.500
O  0.939  0.163  0.500
O  0.168  0.944  0.287
O  0.667  0.444  0.287
O  0.727  0.949  0.500
O  0.917  0.694  0.213
O  0.976  0.199  0.000
O  0.917  0.694  0.787
O  0.417  0.194  0.787
O  0.189  0.413  0.000
O  0.476  0.699  0.000
O  0.168  0.944  0.713
O  0.689  0.913  0.000
O  0.418  0.194  0.213
O  0.439  0.663  0.500
O  0.668  0.444  0.713
Li  0.000  0.500  0.750
Li  0.000  0.500  0.250
Li  0.500  0.000  0.250
Li  0.750  0.250  0.750
Li  0.750  0.250  0.250
Li  0.500  0.000  0.750
Li  0.250  0.750  0.250
Li  0.250  0.750  0.750
Si  0.000  0.000  0.500
Si  0.750  0.750  0.000
Si  0.500  0.500  0.500
Si  0.250  0.250  0.000
Fe  0.500  0.500  0.000
Fe  0.000  0.000  0.000
Fe  0.750  0.750  0.500
Fe  0.250  0.250  0.500

- ΔE to the lowest computed polymorph (eV per atom) = 0.0149
- energy relative to the elements (meV per atom) = -2548
- total energy after the MP2020 corrections (eV/atom) = -7.24
- magnetization (μB/cell) = 0.000
- maximum piezoelectric response (C/m2) = 0.6
- uncorrected energy (eV per atom) = -6.611


# 3
Density functional theory data (PBE with a Hubbard U) for a relaxed structure of Li5Fe5Si7O24.

a b c (Å): 7.867 7.907 9.368
angles (deg): 90.38 90.94 90.99
Atoms (fractional coordinates):
Fe  0.844  0.620  0.990
Fe  0.382  0.153  0.997
Fe  0.674  0.124  0.255
Fe  0.410  0.595  0.004
Fe  0.573  0.420  0.504
Si  0.084  0.071  0.256
Si  0.318  0.883  0.741
Si  0.129  0.675  0.263
Si  0.151  0.373  0.489
Si  0.616  0.836  0.517
Si  0.926  0.921  0.739
Si  0.873  0.318  0.739
O  0.897  0.097  0.178
O  0.906  0.121  0.795
O  0.116  0.882  0.685
O  0.349  0.735  0.855
O  0.125  0.552  0.405
O  0.378  0.377  0.935
O  0.680  0.341  0.676
O  0.636  0.635  0.084
O  0.786  0.888  0.611
O  0.440  0.854  0.603
O  0.202  0.127  0.123
O  0.111  0.205  0.389
O  0.014  0.369  0.620
O  0.630  0.645  0.449
O  0.106  0.876  0.311
O  0.308  0.660  0.181
O  0.905  0.421  0.890
O  0.574  0.061  0.079
O  0.602  0.949  0.373
O  0.874  0.819  0.883
O  0.345  0.367  0.554
O  0.967  0.607  0.166
O  0.655  0.337  0.334
O  0.362  0.069  0.806
Li  0.520  0.765  0.243
Li  0.749  0.544  0.266
Li  0.775  0.995  0.998
Li  0.014  0.257  0.022
Li  0.422  0.294  0.743

- ΔE to the lowest computed polymorph (eV per atom) = 0.0004
- energy relative to the elements (meV per atom) = -2573
- total energy after the MP2020 corrections (eV/atom) = -7.66
- magnetization (μB/cell) = 25.001
- uncorrected energy (eV per atom) = -6.984


# 4
Density functional theory data (PBE with a Hubbard U) for a relaxed structure of LiFeSiO4.

a b c (Å): 5.474 5.474 8.760
angles (deg): 89.97 89.97 123.33
Atoms (fractional coordinates):
O  0.050  0.632  0.812
O  0.506  0.488  0.751
O  0.488  0.506  0.251
O  0.659  0.112  0.686
O  0.632  0.050  0.312
O  0.594  0.218  0.978
O  0.112  0.659  0.186
O  0.218  0.594  0.478
Li  0.225  0.853  0.993
Li  0.853  0.225  0.493
Fe  0.363  0.703  0.682
Fe  0.703  0.363  0.182
Si  0.701  0.365  0.806
Si  0.365  0.701  0.306

- ΔE to the lowest computed polymorph (eV per atom) = 0.0410
- energy relative to the elements (meV per atom) = -2496
- total energy after the MP2020 corrections (eV/atom) = -7.58
- magnetization (μB/cell) = 10.001
- uncorrected energy (eV per atom) = -6.866


Which value of magnetization does entry 4 give?
10.001 μB/cell